*P*
LiFeF3 | PBE+U | relaxed

Lattice parameters (Å, degrees): 5.653 19.705 9.138 90.00 90.00 90.00
Fractional positions:
Li  0.035  0.227  0.164
Li  0.035  0.273  0.664
Li  0.174  0.532  0.335
Li  0.174  0.968  0.835
Li  0.326  0.032  0.335
Li  0.326  0.468  0.835
Li  0.465  0.727  0.164
Li  0.465  0.773  0.664
Li  0.535  0.227  0.336
Li  0.535  0.273  0.836
Li  0.674  0.532  0.165
Li  0.674  0.968  0.665
Li  0.826  0.032  0.165
Li  0.826  0.468  0.665
Li  0.965  0.727  0.336
Li  0.965  0.773  0.836
Fe  0.163  0.622  0.658
Fe  0.163  0.878  0.158
Fe  0.167  0.621  0.032
Fe  0.167  0.879  0.532
Fe  0.333  0.121  0.032
Fe  0.333  0.379  0.532
Fe  0.337  0.122  0.658
Fe  0.337  0.378  0.158
Fe  0.663  0.622  0.842
Fe  0.663  0.878  0.342
Fe  0.667  0.621  0.468
Fe  0.667  0.879  0.968
Fe  0.833  0.121  0.468
Fe  0.833  0.379  0.968
Fe  0.837  0.122  0.842
Fe  0.837  0.378  0.342
F  0.005  0.176  0.658
F  0.005  0.324  0.158
F  0.017  0.178  0.983
F  0.017  0.322  0.483
F  0.150  0.071  0.492
F  0.150  0.429  0.992
F  0.152  0.694  0.186
F  0.152  0.806  0.686
F  0.153  0.053  0.163
F  0.153  0.447  0.663
F  0.183  0.069  0.831
F  0.183  0.431  0.331
F  0.317  0.569  0.831
F  0.317  0.931  0.331
F  0.347  0.553  0.163
F  0.347  0.947  0.663
F  0.348  0.194  0.186
F  0.348  0.306  0.686
F  0.350  0.571  0.492
F  0.350  0.929  0.992
F  0.483  0.678  0.983
F  0.483  0.822  0.483
F  0.495  0.676  0.658
F  0.495  0.824  0.158
F  0.505  0.176  0.842
F  0.505  0.324  0.342
F  0.517  0.178  0.517
F  0.517  0.322  0.017
F  0.650  0.071  0.008
F  0.650  0.429  0.508
F  0.652  0.694  0.314
F  0.652  0.806  0.814
F  0.653  0.053  0.337
F  0.653  0.447  0.837
F  0.683  0.069  0.669
F  0.683  0.431  0.169
F  0.817  0.569  0.669
F  0.817  0.931  0.169
F  0.847  0.553  0.337
F  0.847  0.947  0.837
F  0.848  0.194  0.314
F  0.848  0.306  0.814
F  0.850  0.571  0.008
F  0.850  0.929  0.508
F  0.983  0.678  0.517
F  0.983  0.822  0.017
F  0.995  0.676  0.842
F  0.995  0.824  0.342

## Properties
Calculated volume = 12.72 Å³ per atom
SG = Pbca (61)



*Q*
LiFeF3 | PBE+U | relaxed

Lattice parameters (Å, degrees): 4.927 7.374 6.447 90.00 90.00 90.00
Fractional positions:
Li  0.032  0.245  0.250
Li  0.032  0.255  0.750
Li  0.968  0.745  0.250
Li  0.968  0.755  0.750
Fe  0.500  0.000  0.000
Fe  0.500  0.000  0.500
Fe  0.500  0.500  0.000
Fe  0.500  0.500  0.500
F  0.248  0.566  0.750
F  0.248  0.934  0.250
F  0.256  0.568  0.250
F  0.256  0.932  0.750
F  0.268  0.250  0.000
F  0.268  0.250  0.500
F  0.732  0.750  0.000
F  0.732  0.750  0.500
F  0.744  0.068  0.250
F  0.744  0.432  0.750
F  0.752  0.066  0.750
F  0.752  0.434  0.250

## Properties
Calculated volume = 11.71 Å³ per atom
SG = Pbcm (57)



Of them, *P* has the lowest stability.



*P*
LiFeF3 | PBE+U | relaxed

Lattice parameters (Å, degrees): 7.032 7.032 5.791 107.70 107.70 67.64
Fractional positions:
Li  0.068  0.932  0.750
Li  0.308  0.692  0.250
Li  0.692  0.308  0.750
Li  0.932  0.068  0.250
Fe  0.167  0.339  0.687
Fe  0.339  0.167  0.187
Fe  0.661  0.833  0.813
Fe  0.833  0.661  0.313
F  0.027  0.346  0.285
F  0.062  0.791  0.385
F  0.209  0.938  0.115
F  0.318  0.417  0.060
F  0.346  0.027  0.785
F  0.417  0.318  0.560
F  0.583  0.682  0.440
F  0.654  0.973  0.215
F  0.682  0.583  0.940
F  0.791  0.062  0.885
F  0.938  0.209  0.615
F  0.973  0.654  0.715

## Properties
Calculated volume = 12.32 Å³ per atom
SG = C2/c (15)



*Q*
LiFeF3 | PBE+U | relaxed

Lattice parameters (Å, degrees): 4.991 8.720 10.590 90.00 90.00 90.00
Fractional positions:
Li  0.004  0.215  0.100
Li  0.004  0.285  0.600
Li  0.496  0.215  0.600
Li  0.496  0.285  0.100
Li  0.504  0.715  0.900
Li  0.504  0.785  0.400
Li  0.996  0.715  0.400
Li  0.996  0.785  0.900
Fe  0.007  0.086  0.363
Fe  0.007  0.414  0.863
Fe  0.493  0.086  0.863
Fe  0.493  0.414  0.363
Fe  0.507  0.586  0.637
Fe  0.507  0.914  0.137
Fe  0.993  0.586  0.137
Fe  0.993  0.914  0.637
F  0.196  0.095  0.544
F  0.196  0.405  0.044
F  0.226  0.584  0.304
F  0.226  0.916  0.804
F  0.250  0.250  0.276
F  0.250  0.250  0.776
F  0.250  0.750  0.047
F  0.250  0.750  0.547
F  0.274  0.584  0.804
F  0.274  0.916  0.304
F  0.304  0.095  0.044
F  0.304  0.405  0.544
F  0.696  0.595  0.456
F  0.696  0.905  0.956
F  0.726  0.084  0.696
F  0.726  0.416  0.196
F  0.750  0.250  0.453
F  0.750  0.250  0.953
F  0.750  0.750  0.224
F  0.750  0.750  0.724
F  0.774  0.084  0.196
F  0.774  0.416  0.696
F  0.804  0.595  0.956
F  0.804  0.905  0.456

## Properties
Calculated volume = 11.52 Å³ per atom
SG = Pccn (56)



*R*
LiFeF3 | PBE+U | relaxed

Lattice parameters (Å, degrees): 5.205 5.210 7.660 89.86 89.88 60.36
Fractional positions:
Li  0.000  0.000  0.000
Li  0.011  0.984  0.683
Li  0.677  0.653  0.599
Fe  0.008  0.992  0.333
Fe  0.345  0.321  0.685
Fe  0.673  0.662  0.013
F  0.028  0.290  0.531
F  0.311  0.674  0.528
F  0.313  0.724  0.154
F  0.350  0.965  0.828
F  0.687  0.324  0.824
F  0.698  0.996  0.529
F  0.729  0.958  0.157
F  0.963  0.315  0.157
F  0.991  0.673  0.825

## Properties
Calculated volume = 12.04 Å³ per atom
SG = P1 (1)



Of them, *R* has the lowest stability.



*P*
LiFeF3 | PBE+U | relaxed

Lattice parameters (Å, degrees): 5.272 5.368 10.055 95.36 100.39 118.91
Fractional positions:
Li  0.000  0.000  0.000
Li  0.070  0.433  0.876
Li  0.234  0.207  0.363
Li  0.809  0.206  0.500
Fe  0.272  0.969  0.685
Fe  0.458  0.779  0.185
Fe  0.609  0.626  0.681
Fe  0.781  0.448  0.181
F  0.015  0.022  0.808
F  0.051  0.696  0.054
F  0.192  0.515  0.295
F  0.206  0.238  0.552
F  0.357  0.696  0.798
F  0.368  0.386  0.063
F  0.534  0.902  0.573
F  0.554  0.172  0.314
F  0.671  0.355  0.793
F  0.707  0.060  0.073
F  0.866  0.836  0.292
F  0.881  0.582  0.570

## Properties
Calculated volume = 11.98 Å³ per atom
SG = P1 (1)



*Q*
LiFeF3 | PBE+U | relaxed

Lattice parameters (Å, degrees): 7.094 7.094 5.716 106.16 106.16 79.42
Fractional positions:
Li  0.120  0.294  0.206
Li  0.294  0.120  0.706
Li  0.706  0.880  0.294
Li  0.880  0.706  0.794
Fe  0.206  0.794  0.250
Fe  0.414  0.586  0.750
Fe  0.586  0.414  0.250
Fe  0.794  0.206  0.750
F  0.089  0.194  0.861
F  0.161  0.634  0.862
F  0.194  0.089  0.361
F  0.305  0.492  0.335
F  0.366  0.839  0.638
F  0.492  0.305  0.835
F  0.508  0.695  0.165
F  0.634  0.161  0.362
F  0.695  0.508  0.665
F  0.806  0.911  0.639
F  0.839  0.366  0.138
F  0.911  0.806  0.139

## Properties
Calculated volume = 13.18 Å³ per atom
SG = C2/c (15)



Of them, *Q* has the lowest stability.



*P*
LiFe2F6 | PBE+U | relaxed

Lattice parameters (Å, degrees): 4.744 4.744 9.307 90.00 90.00 90.00
Fractional positions:
Li  0.000  0.000  0.000
Li  0.500  0.500  0.500
Fe  0.000  0.000  0.337
Fe  0.000  0.000  0.665
Fe  0.500  0.500  0.165
Fe  0.500  0.500  0.837
F  0.200  0.200  0.501
F  0.202  0.202  0.171
F  0.202  0.202  0.830
F  0.298  0.702  0.330
F  0.298  0.702  0.671
F  0.300  0.700  0.001
F  0.700  0.300  0.001
F  0.702  0.298  0.330
F  0.702  0.298  0.671
F  0.798  0.798  0.171
F  0.798  0.798  0.830
F  0.800  0.800  0.501

## Properties
Calculated volume = 11.64 Å³ per atom
SG = P4_2nm (102)



*Q*
LiFe2F6 | PBE+U | relaxed

Lattice parameters (Å, degrees): 4.756 4.756 9.417 90.00 90.00 90.00
Fractional positions:
Li  0.000  0.000  0.000
Li  0.500  0.500  0.500
Fe  0.000  0.000  0.336
Fe  0.000  0.000  0.669
Fe  0.500  0.500  0.169
Fe  0.500  0.500  0.836
F  0.194  0.194  0.177
F  0.195  0.195  0.491
F  0.209  0.209  0.837
F  0.291  0.709  0.337
F  0.305  0.695  0.991
F  0.306  0.694  0.677
F  0.694  0.306  0.677
F  0.695  0.305  0.991
F  0.709  0.291  0.337
F  0.791  0.791  0.837
F  0.805  0.805  0.491
F  0.806  0.806  0.177

## Properties
Piezoelectric modulus e_max = 0.2 C/m2
Calculated volume = 11.83 Å³ per atom
SG = P4_2nm (102)



Of them, *P* has the lowest stability.